VASP calculation (PBE) on a geometry-optimized Sm2Ge2O7 structure.

Geometry as extended XYZ:
```
22
Lattice="0.000 5.090 5.090 5.090 0.000 5.090 5.090 5.090 0.000" Properties=species:S:1:pos:R:3 pbc="T T T"
O 5.090 3.046 5.090
Ge 6.362 3.817 3.817
O 5.591 7.635 7.635
O 7.635 9.679 7.635
Ge 3.817 6.362 3.817
O 9.679 7.635 7.635
Sm 3.817 3.817 1.272
Sm 1.272 1.272 1.272
O 0.000 0.000 0.000
Ge 3.817 3.817 6.362
O 7.635 7.635 9.679
O 7.635 7.635 5.591
O 5.090 5.090 3.046
O 7.134 5.090 5.090
Sm 1.272 3.817 3.817
O 3.046 5.090 5.090
O 2.545 2.545 2.545
Ge 6.362 6.362 6.362
Sm 3.817 1.272 3.817
O 7.635 5.591 7.635
O 5.090 5.090 7.134
O 5.090 7.134 5.090
```

Calculated values
M_tot: 0.00 μB per formula unit
Energy relative to the lowest polymorph listed for this composition: 42 meV/atom

---

VASP calculation (PBE) on a geometry-optimized Sm2Ge2O7 structure.

Geometry as extended XYZ:
```
11
Lattice="4.697 3.603 0.000 -4.697 3.603 0.000 0.000 1.042 4.939" Properties=species:S:1:pos:R:3 pbc="T T T"
O -1.458 6.223 3.544
O 0.000 0.000 0.000
O 0.000 4.590 1.090
O 0.000 3.659 3.850
Ge 0.000 1.728 0.432
O 1.458 6.223 3.544
Ge 0.000 6.521 4.507
O -1.458 2.026 1.396
O 1.458 2.026 1.396
Sm -1.839 4.124 2.470
Sm 1.839 4.124 2.470
```

Calculated values
Energy relative to the lowest polymorph listed for this composition: 11 meV/atom

---

VASP calculation (PBE) on a geometry-optimized Sm4Ge3O15 structure.

Geometry as extended XYZ:
```
44
Lattice="5.510 -7.838 0.000 5.510 7.838 0.000 0.000 0.000 7.182" Properties=species:S:1:pos:R:3 pbc="T T T"
Ge 4.209 5.448 5.386
O 2.740 3.405 1.795
O 4.152 2.062 6.750
Ge 0.000 0.000 0.000
Sm 6.095 2.260 5.386
Sm 2.258 -2.071 5.386
Sm 4.925 -2.260 1.795
O 5.728 -4.561 5.386
O 5.728 4.561 5.386
O 0.743 0.000 5.386
Ge 6.811 5.448 1.795
Sm 4.925 2.260 1.795
O 9.684 1.346 6.840
O 6.868 -2.062 0.432
O 4.436 0.000 1.795
O 9.684 1.346 3.932
O 6.868 -2.062 3.159
O 8.280 -3.405 5.386
O 6.713 0.000 1.795
O 4.307 0.000 5.386
O 4.152 2.062 4.022
Sm 2.258 2.071 5.386
Sm 6.095 -2.260 5.386
O 1.336 1.346 3.250
O 8.280 3.405 5.386
O 1.336 -1.346 3.250
Sm 8.762 -2.071 1.795
Ge 0.000 0.000 3.591
O 2.740 -3.405 1.795
Sm 8.762 2.071 1.795
Ge 6.811 -5.448 1.795
O 4.152 -2.062 6.750
O 10.277 0.000 1.795
O 9.684 -1.346 6.840
O 4.152 -2.062 4.022
O 9.684 -1.346 3.932
O 5.292 -4.561 1.795
O 6.868 2.062 0.432
O 1.336 -1.346 0.341
Ge 4.209 -5.448 5.386
O 6.584 0.000 5.386
O 6.868 2.062 3.159
O 5.292 4.561 1.795
O 1.336 1.346 0.341
```

Calculated values
M_tot: 6.00 μB per formula unit

---

VASP calculation (PBE) on a geometry-optimized Sm2Ge2O7 structure.

Geometry as extended XYZ:
```
44
Lattice="6.987 0.000 0.000 0.000 6.987 0.000 0.000 0.000 12.734" Properties=species:S:1:pos:R:3 pbc="T T T"
Sm 5.941 4.350 4.898
Ge 2.807 2.416 8.007
Sm 1.046 2.637 11.265
Ge 0.687 5.910 7.910
O 4.825 1.000 0.590
O 2.352 0.434 11.816
Sm 0.857 4.540 1.715
O 0.528 6.800 1.595
O 4.635 6.553 5.449
O 6.459 0.187 7.962
O 2.965 3.307 1.589
O 4.867 4.867 0.000
O 3.928 1.141 8.632
O 3.681 4.022 4.778
Sm 4.350 5.941 7.836
O 6.553 4.635 7.285
Ge 4.571 4.181 11.093
O 1.331 2.494 8.960
O 6.800 0.528 11.139
Ge 2.416 2.807 4.726
O 4.494 5.656 10.141
O 4.022 3.681 7.955
O 2.494 1.331 3.774
O 0.434 2.352 0.918
O 2.162 5.987 6.957
O 2.120 2.120 6.367
O 5.987 2.162 5.776
Ge 6.300 1.078 1.543
O 5.656 4.494 2.593
Sm 2.447 6.131 4.652
O 1.374 5.614 9.550
Ge 5.910 0.687 4.824
O 1.141 3.928 4.102
O 5.614 1.374 3.183
Sm 2.637 1.046 1.469
O 3.060 5.846 2.265
O 5.846 3.060 10.468
Sm 6.131 2.447 8.081
Sm 4.540 0.857 11.019
O 0.187 6.459 4.772
O 3.307 2.965 11.145
Ge 1.078 6.300 11.191
O 1.000 4.825 12.143
Ge 4.181 4.571 1.640
```

Calculated values
M_tot: 0.00 μB per formula unit
Energy relative to the lowest polymorph listed for this composition: 0 meV/atom
Piezoelectric modulus e_max: 0.1 C/m2

---

VASP calculation (PBE) on a geometry-optimized Sm2Ge2O7 structure.

Geometry as extended XYZ:
```
44
Lattice="-4.231 4.010 -3.762 1.841 -3.694 -5.600 -9.455 -7.734 3.033" Properties=species:S:1:pos:R:3 pbc="T T T"
O -1.741 -1.444 0.439
O -9.078 -3.264 -1.789
O -8.791 -5.601 -0.090
O -12.290 -4.348 -2.833
O -5.660 -2.434 -1.072
O -10.136 -6.057 -2.625
O -10.873 -7.952 -4.880
O -9.380 -3.823 -4.745
Sm -0.895 -2.665 -5.518
Ge -8.775 -6.725 1.234
Sm -10.950 -4.754 -0.812
Sm -7.060 -4.265 -0.799
O -4.607 -1.490 -3.810
Ge -3.082 -4.639 -2.842
O -3.055 -1.819 -6.239
O -1.709 -1.362 -3.704
O -4.894 -4.685 -2.761
O -6.685 -2.293 -6.665
O -6.185 -4.985 -5.258
O -10.104 -5.975 -6.769
O -8.430 -6.779 -4.799
Sm -4.786 -3.154 -5.530
Ge -8.763 -2.780 -3.487
Ge -5.927 -5.826 -3.735
Ge -3.142 -0.450 -3.273
O -3.415 -0.640 -1.530
Sm -11.156 -5.530 -4.635
O -0.972 0.533 -1.449
Sm -3.727 -2.612 0.191
O 0.444 -3.071 -3.496
Ge -3.070 -0.694 -7.563
O -6.951 -2.734 -3.569
O -8.574 -8.564 -2.353
O -5.160 -5.127 0.335
O -2.767 -4.155 -4.540
O -2.465 -3.596 -1.584
Ge -5.918 -1.594 -2.594
O -5.141 -7.326 -4.118
O -7.238 -5.929 -2.519
Sm -8.118 -4.807 -6.520
O -6.704 -0.094 -2.211
Sm -0.689 -1.889 -1.694
Ge -8.703 -6.969 -3.056
O -3.272 1.145 -3.976
```

Calculated values
Energy relative to the lowest polymorph listed for this composition: 10 meV/atom

---

Respective ΔE_f values: -2.97, -3.00, -2.50, -3.01, -3.00 eV/atom.